Computed, not measured: crystalline LiMn4P7O24 at its relaxed geometry at the PBE+U level of DFT.

Results
* density: 3.02 g cm⁻³
* final energy: -7.254 eV/atom
* calculated volume: 12.7 Å³/atom

a = 10.313 Å, b = 10.477 Å, c = 10.772 Å
α = 109.87°, β = 111.33°, γ = 105.64°
Fractional coordinates of all 72 atoms:
Li1 0.059 0.239 0.161
Li2 0.941 0.761 0.839
Mn1 0.003 0.897 0.242
Mn2 0.009 0.664 0.391
Mn3 0.487 0.824 0.914
Mn4 0.489 0.618 0.426
Mn5 0.511 0.382 0.574
Mn6 0.513 0.176 0.086
Mn7 0.991 0.336 0.609
Mn8 0.997 0.103 0.758
P1 0.233 0.187 0.613
P2 0.237 0.977 0.743
P3 0.248 0.547 0.546
P4 0.249 0.610 0.976
P5 0.273 0.793 0.274
P6 0.305 0.063 0.233
P7 0.305 0.381 0.065
P8 0.695 0.619 0.935
P9 0.695 0.937 0.767
P10 0.727 0.207 0.726
P11 0.751 0.390 0.024
P12 0.752 0.453 0.454
P13 0.763 0.023 0.257
P14 0.767 0.813 0.387
O1 0.104 0.506 0.824
O2 0.121 0.998 0.798
O3 0.123 0.232 0.670
O4 0.128 0.276 0.965
O5 0.128 0.984 0.145
O6 0.134 0.793 0.296
O7 0.139 0.406 0.533
O8 0.143 0.065 0.448
O9 0.150 0.576 0.418
O10 0.164 0.833 0.597
O11 0.190 0.669 0.095
O12 0.306 0.117 0.717
O13 0.329 0.443 0.228
O14 0.332 0.686 0.705
O15 0.342 0.524 0.032
O16 0.357 0.752 0.993
O17 0.364 0.072 0.125
O18 0.365 0.954 0.293
O19 0.368 0.214 0.372
O20 0.370 0.513 0.502
O21 0.374 0.322 0.655
O22 0.379 0.993 0.874
O23 0.383 0.759 0.374
O24 0.409 0.315 0.037
O25 0.591 0.685 0.963
O26 0.617 0.241 0.626
O27 0.621 0.007 0.126
O28 0.626 0.678 0.345
O29 0.630 0.487 0.498
O30 0.632 0.786 0.628
O31 0.635 0.046 0.707
O32 0.636 0.928 0.875
O33 0.643 0.248 0.007
O34 0.658 0.476 0.968
O35 0.668 0.314 0.295
O36 0.671 0.557 0.772
O37 0.694 0.883 0.283
O38 0.810 0.331 0.905
O39 0.836 0.167 0.403
O40 0.850 0.424 0.582
O41 0.857 0.935 0.552
O42 0.861 0.594 0.467
O43 0.866 0.207 0.704
O44 0.872 0.016 0.855
O45 0.872 0.724 0.035
O46 0.877 0.768 0.330
O47 0.879 0.002 0.202
O48 0.896 0.494 0.176

Computed, not measured: crystalline LiMnP2O7 at its relaxed geometry at the PBE+U level of DFT.

Results
* density: 3.14 g cm⁻³
* final energy: -7.116 eV/atom
* calculated volume: 11.3 Å³/atom

a = 6.224 Å, b = 6.224 Å, c = 13.772 Å
α = 104.33°, β = 104.33°, γ = 80.94°
Fractional coordinates of all 44 atoms:
Li1 0.105 0.334 0.365
Li2 0.334 0.105 0.865
Li3 0.666 0.895 0.135
Li4 0.895 0.666 0.635
Mn1 0.246 0.261 0.140
Mn2 0.261 0.246 0.640
Mn3 0.739 0.754 0.360
Mn4 0.754 0.739 0.860
P1 0.153 0.743 0.076
P2 0.257 0.847 0.424
P3 0.264 0.618 0.867
P4 0.382 0.736 0.633
P5 0.618 0.264 0.367
P6 0.736 0.382 0.133
P7 0.743 0.153 0.576
P8 0.847 0.257 0.924
O1 0.038 0.738 0.822
O2 0.062 0.702 0.372
O3 0.092 0.188 0.966
O4 0.188 0.092 0.466
O5 0.191 0.578 0.146
O6 0.225 0.557 0.623
O7 0.262 0.962 0.678
O8 0.266 0.604 0.982
O9 0.298 0.938 0.128
O10 0.310 0.380 0.811
O11 0.380 0.310 0.311
O12 0.396 0.734 0.518
O13 0.422 0.809 0.354
O14 0.443 0.775 0.877
O15 0.557 0.225 0.123
O16 0.578 0.191 0.646
O17 0.604 0.266 0.482
O18 0.620 0.690 0.689
O19 0.690 0.620 0.189
O20 0.702 0.062 0.872
O21 0.734 0.396 0.018
O22 0.738 0.038 0.322
O23 0.775 0.443 0.377
O24 0.809 0.422 0.854
O25 0.812 0.908 0.534
O26 0.908 0.812 0.034
O27 0.938 0.298 0.628
O28 0.962 0.262 0.178

Computed, not measured: crystalline Li2MnP2O8 at its relaxed geometry at the PBE+U level of DFT.

Results
* density: 3.11 g cm⁻³
* final energy: -6.784 eV/atom
* calculated volume: 10.6 Å³/atom

a = 4.750 Å, b = 5.787 Å, c = 10.065 Å
α = 90.04°, β = 90.89°, γ = 91.43°
Fractional coordinates of all 26 atoms:
Li1 0.000 0.000 0.000
Li2 0.030 0.251 0.732
Li3 0.500 0.500 0.500
Li4 0.970 0.749 0.268
Mn1 0.489 0.248 0.218
Mn2 0.511 0.752 0.782
P1 0.084 0.752 0.604
P2 0.435 0.746 0.089
P3 0.565 0.254 0.911
P4 0.916 0.248 0.396
O1 0.149 0.744 0.458
O2 0.239 0.258 0.374
O3 0.240 0.952 0.685
O4 0.249 0.547 0.677
O5 0.250 0.239 0.908
O6 0.288 0.959 0.158
O7 0.301 0.531 0.162
O8 0.304 0.749 0.943
O9 0.696 0.251 0.057
O10 0.699 0.469 0.838
O11 0.712 0.041 0.842
O12 0.750 0.761 0.092
O13 0.751 0.453 0.323
O14 0.760 0.048 0.315
O15 0.761 0.742 0.626
O16 0.851 0.256 0.542